<a>
A geometry-optimized SnPbS2 structure, computed with GGA-PBE.

```
SnPbS2
1.0
4.177 0.000 0.000
-0.004 4.228 0.000
-1.292 -0.794 17.004
Sn Pb S
2 2 4
Cartesian
0.000 0.000 0.000
-0.023 2.889 5.839
2.069 1.997 2.882
2.068 0.565 8.753
-0.026 0.026 2.600
-0.012 2.615 8.457
2.050 2.149 0.181
2.082 0.423 6.063
```

Values from the calculation:
The calculation puts the calculated volume at 150.13 Å³/f.u. As for the space-group type: P1, No. 1.

<b>
A geometry-optimized SnPbS2 structure, computed with GGA-PBE.

```
SnPbS2
1.0
4.100 0.000 0.000
0.000 4.425 0.000
0.000 0.000 11.702
Sn Pb S
2 2 4
Cartesian
0.000 0.575 0.000
0.000 3.851 5.851
2.050 1.593 2.862
2.050 2.832 8.713
0.000 0.946 9.140
0.000 3.480 3.290
2.050 1.142 5.646
2.050 3.284 11.497
```

Values from the calculation:
The calculation puts the calculated volume at 106.16 Å³/f.u. As for the space-group type: Pmc2_1, No. 26.

<c>
A geometry-optimized SnPbS2 structure, computed with GGA-PBE.

```
SnPbS2
1.0
6.347 0.000 0.000
0.000 3.776 0.000
0.000 0.000 25.574
Sn Pb S
2 2 4
Cartesian
0.000 0.292 0.000
0.000 3.484 12.787
0.000 0.310 7.957
0.000 3.466 20.744
0.000 1.578 19.038
0.000 1.591 14.396
0.000 2.185 1.609
0.000 2.198 6.251
```

Values from the calculation:
The calculation puts the calculated volume at 306.43 Å³/f.u. As for the space-group type: Pmc2_1, No. 26.

The most stable of them is <b>.

<a>
A geometry-optimized TePb2S structure, computed with GGA-PBE.

```
TePb2S
1.0
2.222 1.283 7.260
-2.222 1.283 7.260
0.000 -2.566 7.260
Te Pb S
1 2 1
Cartesian
0.000 0.000 0.000
0.000 0.000 5.264
0.000 0.000 16.515
0.000 0.000 10.890
```

Values from the calculation:
The calculation puts the calculated volume at 124.17 Å³/f.u. As for the space-group type: R-3m, No. 166.

<b>
A geometry-optimized TePb2S structure, computed with GGA-PBE.

```
TePb2S
1.0
4.474 0.000 0.000
0.000 4.474 0.000
0.000 0.000 6.351
Te Pb S
1 2 1
Cartesian
0.000 0.000 0.000
0.000 0.000 3.175
2.237 2.237 0.000
2.237 2.237 3.175
```

Values from the calculation:
The calculation puts the calculated volume at 127.15 Å³/f.u. As for the space-group type: P4/mmm, No. 123.

The most stable of them is <a>.

<a>
A geometry-optimized Tm2PbS4 structure, computed with GGA-PBE.

```
Tm2PbS4
1.0
11.995 0.000 0.000
0.000 3.946 0.000
0.000 0.000 14.260
Tm Pb S
8 4 16
Cartesian
0.759 0.987 1.587
0.982 0.987 8.544
5.016 2.960 1.414
5.239 2.960 8.717
6.756 0.987 5.542
6.979 0.987 12.846
11.013 2.960 5.716
11.237 2.960 12.672
2.858 0.987 4.775
3.139 2.960 11.905
8.856 0.987 2.354
9.137 2.960 9.484
0.287 2.960 10.191
1.029 0.987 13.173
1.530 2.960 6.735
2.481 2.960 2.415
3.516 0.987 9.545
4.468 0.987 13.865
4.968 2.960 6.043
5.711 0.987 3.061
6.284 2.960 11.198
7.027 0.987 8.217
7.527 2.960 0.395
8.479 2.960 4.715
9.514 0.987 11.845
10.465 0.987 7.524
10.966 2.960 1.087
11.709 0.987 4.069
```

Values from the calculation:
The calculation puts the calculated volume at 168.74 Å³/f.u. As for the space-group type: Pnma, No. 62.

<b>
A geometry-optimized Tm2PbS4 structure, computed with GGA-PBE.

```
Tm2PbS4
1.0
10.260 0.000 0.000
0.000 13.377 0.000
-4.584 0.000 10.786
Tm Pb S
16 8 32
Cartesian
-0.352 0.000 1.693
-1.337 2.363 4.926
-0.394 12.032 5.222
-1.969 1.231 9.271
0.310 7.137 4.344
2.672 8.590 1.266
-0.490 6.798 8.871
2.669 2.689 4.516
3.007 9.378 6.270
6.166 0.110 1.915
3.003 1.902 9.520
5.365 0.448 6.442
7.645 7.919 1.515
6.069 5.343 5.564
7.012 9.052 5.860
6.028 6.689 9.094
-0.068 4.505 1.789
-2.169 4.069 7.676
3.052 11.948 3.634
4.771 4.396 0.808
0.905 11.085 9.979
2.624 5.259 7.152
7.845 10.757 3.110
5.743 11.194 8.998
-2.091 0.318 6.605
0.044 7.510 1.770
-2.385 8.682 8.250
1.136 2.207 0.543
0.353 11.052 2.820
2.364 6.159 0.027
-2.097 10.932 10.549
0.674 0.847 4.146
0.427 4.452 4.770
2.195 12.831 0.667
2.451 3.136 1.894
0.958 7.691 6.810
2.681 8.432 3.838
1.443 11.420 6.801
0.627 4.357 8.743
0.507 1.342 10.524
5.168 8.031 0.262
5.048 11.046 2.043
4.232 4.732 3.986
2.994 1.743 6.948
4.718 1.002 3.976
3.224 9.825 8.892
3.481 6.142 10.120
5.249 11.140 6.016
5.002 7.536 6.640
7.772 4.243 0.237
3.311 12.848 10.759
5.323 4.363 7.966
4.539 8.895 10.243
8.061 1.993 2.536
5.631 0.821 9.016
7.767 7.007 4.181
```

Values from the calculation:
The calculation puts the calculated volume at 185.05 Å³/f.u. As for the space-group type: P2_1, No. 4.

The most stable of them is <a>.